Record 1
DFT (meta-GGA r2SCAN) results for a geometry-optimized HoMgAg2 structure.

## Properties
Energy of formation, meV/atom: -296

Unit cell a=6.9195 b=6.9195 c=6.9195 alpha=90.00 beta=90.00 gamma=90.00
Space group Fm-3m (No. 225)
Asymmetric unit:
Ho (0.0000, 0.0000, 0.0000) [4 per cell]
Mg (0.0000, 0.0000, 0.5000) [4 per cell]
Ag (0.2500, 0.2500, 0.2500) [8 per cell]



Record 2
DFT (meta-GGA r2SCAN) results for a geometry-optimized HoMgAg structure.

## Properties
Energy of formation, meV/atom: -279

Unit cell a=7.6698 b=7.6698 c=4.0572 alpha=90.00 beta=90.00 gamma=120.00
Space group P-62m (No. 189)
Asymmetric unit:
Ho (0.0000, 0.5877, 0.0000) [3 per cell]
Mg (0.0000, 0.2485, 0.5000) [3 per cell]
Ag (0.0000, 0.0000, 0.0000) [1 per cell]
Ag (0.3333, 0.6667, 0.5000) [2 per cell]



Record 3
DFT (meta-GGA r2SCAN) results for a geometry-optimized HoAgPb structure.

## Properties
Energy of formation, meV/atom: -495

Unit cell a=4.7588 b=4.7588 c=7.4797 alpha=90.00 beta=90.00 gamma=120.00
Space group P6_3mc (No. 186)
Asymmetric unit:
Ho (0.0000, 0.0000, 0.0000) [2 per cell]
Ag (0.3333, 0.6667, 0.3200) [2 per cell]
Pb (0.3333, 0.6667, 0.7190) [2 per cell]



Record 4
DFT (meta-GGA r2SCAN) results for a geometry-optimized HoAgS2 structure.

## Properties
Energy of formation, meV/atom: -1542

Unit cell a=7.5960 b=7.5983 c=12.3808 alpha=90.00 beta=90.02 gamma=90.00
Space group P2_1 (No. 4)
Asymmetric unit:
Ho (0.9999, 0.0000, 0.2467) [2 per cell]
Ho (0.2492, 0.2511, 0.4965) [2 per cell]
Ho (0.2515, 0.7509, 0.9967) [2 per cell]
Ho (0.4991, 0.5021, 0.2533) [2 per cell]
Ag (0.0136, 0.9807, 0.6903) [2 per cell]
Ag (0.2303, 0.2348, 0.9401) [2 per cell]
Ag (0.2584, 0.7533, 0.4390) [2 per cell]
Ag (0.4970, 0.0068, 0.1887) [2 per cell]
S (0.0199, 0.4808, 0.9746) [2 per cell]
S (0.0231, 0.9774, 0.4673) [2 per cell]
S (0.2268, 0.2272, 0.7174) [2 per cell]
S (0.2307, 0.2694, 0.2757) [2 per cell]
S (0.2703, 0.7305, 0.7754) [2 per cell]
S (0.2719, 0.7728, 0.2171) [2 per cell]
S (0.4778, 0.0228, 0.9673) [2 per cell]
S (0.4807, 0.5200, 0.4742) [2 per cell]



Record 5
DFT (meta-GGA r2SCAN) results for a geometry-optimized HoAgS2 structure.

## Properties
Energy of formation, meV/atom: -1542

Unit cell a=7.5979 b=7.5979 c=12.4006 alpha=90.00 beta=90.00 gamma=90.00
Space group P4_12_12 (No. 92)
Asymmetric unit:
Ho (0.0009, 0.2501, 0.1278) [8 per cell]
Ag (0.0157, 0.2597, 0.6861) [8 per cell]
S (0.0190, 0.2308, 0.3485) [8 per cell]
S (0.0233, 0.2732, 0.9078) [8 per cell]



Record 6
DFT (meta-GGA r2SCAN) results for a geometry-optimized HoAgSn structure.

## Properties
Energy of formation, meV/atom: -650

Unit cell a=4.6872 b=4.6872 c=7.3827 alpha=90.00 beta=90.00 gamma=120.00
Space group P6_3mc (No. 186)
Asymmetric unit:
Ho (0.0000, 0.0000, 0.0000) [2 per cell]
Ag (0.3333, 0.6667, 0.3172) [2 per cell]
Sn (0.3333, 0.6667, 0.7199) [2 per cell]



Record 7
DFT (meta-GGA r2SCAN) results for a geometry-optimized Ho2TlAg structure.

## Properties
Energy of formation, meV/atom: -416

Unit cell a=7.3559 b=7.3559 c=7.3559 alpha=90.00 beta=90.00 gamma=90.00
Space group Fm-3m (No. 225)
Asymmetric unit:
Ho (0.2500, 0.2500, 0.2500) [8 per cell]
Tl (0.0000, 0.0000, 0.0000) [4 per cell]
Ag (0.0000, 0.0000, 0.5000) [4 per cell]



Record 8
DFT (meta-GGA r2SCAN) results for a geometry-optimized HoTmAg2 structure.

## Properties
Energy of formation, meV/atom: -348

Unit cell a=7.1462 b=7.1462 c=7.1462 alpha=90.00 beta=90.00 gamma=90.00
Space group Fm-3m (No. 225)
Asymmetric unit:
Ho (0.0000, 0.0000, 0.0000) [4 per cell]
Tm (0.0000, 0.0000, 0.5000) [4 per cell]
Ag (0.2500, 0.2500, 0.2500) [8 per cell]



- The highest energy of formation belongs to which entry?
  HoMgAg



- Which value of energy of formation does entry 4 give?
  -1542 meV/atom